A plane-wave DFT calculation with PBE was carried out for an optimized crystal structure of RbLaSe2O8.

Total DFT energy (no corrections): -5.95 eV per atom
Formation enthalpy at 0 K: -2.04 eV/atom

```
48
Lattice="9.1036 0.0000 0.0000 0.0000 7.6238 0.0000 -0.3121 0.0000 11.3578" Properties=species:S:1:pos:R:3 pbc="T T T"
Rb 0.5079 1.1523 3.8383
Rb 0.3519 2.6596 9.5172
Rb 8.4396 4.9642 1.8406
Rb 8.2836 6.4715 7.5195
La 3.8300 5.0602 7.4052
La 3.9861 6.3755 1.7263
La 4.8054 1.2483 9.6315
La 4.9615 2.5636 3.9526
Se 1.8940 5.0418 4.6702
Se 1.7379 6.3939 10.3491
Se 2.6459 1.2515 6.8897
Se 2.8020 2.5604 1.2108
Se 5.9895 5.0634 10.1470
Se 6.1455 6.3723 4.4681
Se 7.0536 1.2299 1.0087
Se 6.8975 2.5820 6.6876
O 0.7215 3.9908 4.2269
O 0.5655 7.4449 9.9058
O 1.0200 1.0390 6.8858
O 1.1761 2.7729 1.2069
O 1.8252 5.6923 0.5036
O 1.6691 5.7434 6.1825
O 1.9900 5.2241 9.1654
O 2.1461 6.2116 3.4866
O 3.2178 1.2343 2.2004
O 3.0618 2.5776 7.8793
O 3.2193 1.3949 5.3279
O 3.0633 2.4170 11.0068
O 3.3873 4.2732 4.9925
O 3.2313 7.1625 10.6714
O 3.5042 0.0216 7.7078
O 3.6602 3.7903 2.0289
O 5.1313 3.8335 9.3289
O 5.2873 7.6022 3.6500
O 5.5602 0.4613 0.6864
O 5.4041 3.3506 6.3652
O 5.7282 5.2068 0.3509
O 5.5722 6.2289 6.0298
O 5.7297 5.0462 3.4785
O 5.5737 6.3895 9.1574
O 6.6454 1.4122 7.8712
O 6.8015 2.3997 2.1923
O 7.1224 1.8804 5.1753
O 6.9663 1.9315 10.8541
O 7.6154 4.8509 10.1509
O 7.7715 6.5848 4.4720
O 8.2260 0.1789 1.4520
O 8.0699 3.6330 7.1309
```

=====

A plane-wave DFT calculation with PBE was carried out for an optimized crystal structure of RbLaSe2O13.

Total DFT energy (no corrections): -5.48 eV per atom
Formation enthalpy at 0 K: -1.06 eV/atom

```
68
Lattice="6.4621 0.0000 0.0000 0.0000 9.7746 0.0000 -1.4078 0.0000 19.6151" Properties=species:S:1:pos:R:3 pbc="T T T"
Rb 0.7985 0.1238 7.4720
Rb 0.0946 4.7635 17.2795
Rb 4.9597 5.0111 2.3356
Rb 4.2558 9.6509 12.1431
La 1.1377 0.8273 2.6566
La 0.4338 4.0601 12.4641
La 4.6205 5.7146 7.1510
La 3.9166 8.9474 16.9585
Se 0.1819 7.0267 10.2269
Se 0.8858 7.6353 0.4194
Se 1.4275 7.2316 14.4409
Se 2.1314 7.4303 4.6333
Se 2.9229 2.3443 14.9818
Se 3.6268 2.5430 5.1742
Se 4.1685 2.1393 19.1957
Se 4.8724 2.7480 9.3882
O -0.3991 6.7595 5.6194
O -1.1029 7.9025 15.4269
O -0.3826 6.6711 8.6522
O -1.0865 7.9909 18.4598
O -1.0188 2.3495 18.1675
O -0.3149 2.5379 8.3600
O 0.4978 6.4438 4.5842
O -0.2060 8.2182 14.3917
O 0.0168 0.3123 16.5253
O 0.7207 4.5750 6.7177
O 1.0250 5.6506 10.7596
O 1.7289 9.0114 0.9521
O 1.8377 6.2943 0.2492
O 1.1338 8.3676 10.0567
O 1.1106 0.9489 11.3881
O 1.8145 3.9384 1.5805
O 0.9731 5.6137 14.3282
O 1.6770 9.0482 4.5207
O 0.9434 0.0295 17.2902
O 1.6473 4.8578 7.4827
O 1.5455 1.9165 10.7463
O 2.2494 2.9709 0.9388
O 2.9025 2.3335 3.6788
O 2.1986 2.5539 13.4863
O 2.7662 2.0069 6.4522
O 2.0623 2.8804 16.2597
O 2.9920 6.8942 3.3554
O 2.2881 7.7678 13.1629
O 2.8558 7.2208 6.1288
O 2.1519 7.4412 15.9363
O 2.8049 6.8038 18.6763
O 3.5088 7.8582 8.8688
O 3.4070 4.9168 12.1324
O 4.1109 9.7452 2.3249
O 3.3773 0.7264 15.0944
O 4.0812 4.1609 5.2869
O 3.2398 5.8362 18.0346
O 3.9437 8.8257 8.2270
O 3.9205 1.4070 9.5584
O 3.2166 3.4803 19.3659
O 3.3254 0.7633 18.6630
O 4.0293 4.1240 8.8555
O 4.3336 5.1996 12.8974
O 5.0375 9.4623 3.0898
O 5.2604 1.5565 5.2234
O 4.5565 3.3309 15.0309
O 5.3693 7.2368 11.2551
O 6.0731 7.4252 1.4476
O 6.1408 1.7837 1.1553
O 5.4369 3.1036 10.9629
O 6.1573 1.8722 4.1882
O 5.4534 3.0151 13.9957
```

=====

A plane-wave DFT calculation with PBE was carried out for an optimized crystal structure of RbLa2Ti3O9.

Total DFT energy (no corrections): -8.34 eV per atom
Formation enthalpy at 0 K: -3.48 eV/atom

```
15
Lattice="5.6259 0.0000 0.0000 -2.8130 4.8722 0.0000 0.0000 0.0000 6.8344" Properties=species:S:1:pos:R:3 pbc="T T T"
Rb 0.0000 0.0000 0.0000
La 0.0000 3.2481 4.5671
La 2.8130 1.6241 2.2673
Ti 0.0000 0.0000 3.4172
Ti 0.0000 3.2481 1.1080
Ti 2.8130 1.6241 5.7264
O -1.4065 2.4361 0.0000
O 0.0000 1.6795 2.3633
O -1.3585 4.0324 2.3633
O 1.4545 0.8398 4.4711
O 2.8130 0.0000 0.0000
O 1.4065 2.4361 0.0000
O 1.3585 4.0324 2.3633
O 4.1714 0.8398 4.4711
O 2.8130 3.1927 4.4711
```

=====

A plane-wave DFT calculation with PBE was carried out for an optimized crystal structure of La3Re2O10.

Total DFT energy (no corrections): -8.55 eV per atom
Formation enthalpy at 0 K: -3.07 eV/atom

```
15
Lattice="3.9716 -3.9370 0.0000 3.9716 3.9370 0.0000 -3.0292 0.0000 6.5646" Properties=species:S:1:pos:R:3 pbc="T T T"
La 0.0000 0.0000 0.0000
La 2.4570 1.9140 3.2823
La 2.4570 -1.9140 3.2823
Re 0.4125 0.0000 5.4180
Re 4.5015 0.0000 1.1466
O -1.4203 0.0000 4.7161
O 0.5312 1.8719 5.1694
O 1.0397 0.0000 3.4872
O 2.5078 0.0000 0.6082
O 4.3828 1.8719 1.3952
O 0.5312 -1.8719 5.1694
O 2.4062 0.0000 5.9564
O 3.8743 0.0000 3.0774
O 4.3828 -1.8719 1.3952
O 6.3343 0.0000 1.8485
```